A plane-wave DFT calculation with PBE was carried out for KHo2F7 after structural relaxation.

a = 8.262 Å, b = 8.262 Å, c = 12.012 Å
α = 59.75°, β = 59.75°, γ = 58.29°
Positions (direct):
K  0.222  0.222  0.345
K  0.254  0.254  0.981
K  0.755  0.755  0.652
K  0.730  0.730  0.021
Ho  0.734  0.252  0.998
Ho  0.252  0.734  0.998
Ho  0.750  0.750  0.320
Ho  0.755  0.230  0.319
Ho  0.230  0.755  0.319
Ho  0.752  0.227  0.681
Ho  0.227  0.752  0.681
Ho  0.233  0.233  0.677
F  0.331  0.854  0.084
F  0.854  0.331  0.084
F  0.660  0.123  0.914
F  0.123  0.660  0.914
F  0.344  0.877  0.762
F  0.877  0.344  0.762
F  0.888  0.888  0.748
F  0.389  0.389  0.069
F  0.878  0.878  0.380
F  0.487  0.819  0.498
F  0.819  0.487  0.498
F  0.635  0.114  0.235
F  0.114  0.635  0.235
F  0.104  0.104  0.618
F  0.597  0.597  0.923
F  0.495  0.161  0.499
F  0.161  0.495  0.499
F  0.493  0.837  0.261
F  0.837  0.493  0.261
F  0.488  0.153  0.737
F  0.153  0.488  0.737
F  0.489  0.489  0.736
F  0.498  0.498  0.270
F  0.810  0.170  0.500
F  0.170  0.810  0.500
F  0.888  0.888  0.087
F  0.093  0.093  0.250
F  0.099  0.099  0.913

## Properties
The value obtained for the final energy is -6.264 eV per atom.


A plane-wave DFT calculation with PBE was carried out for Mg14ZnW after structural relaxation.

a = 6.244 Å, b = 6.233 Å, c = 9.957 Å
α = 90.00°, β = 90.00°, γ = 119.94°
Positions (direct):
Mg  0.168  0.334  0.625
Mg  0.167  0.834  0.625
Mg  0.668  0.336  0.125
Mg  0.665  0.334  0.625
Mg  0.668  0.832  0.125
Mg  0.665  0.832  0.625
Mg  0.326  0.159  0.361
Mg  0.326  0.159  0.889
Mg  0.326  0.667  0.361
Mg  0.326  0.667  0.889
Mg  0.838  0.169  0.371
Mg  0.838  0.169  0.879
Mg  0.844  0.672  0.367
Mg  0.844  0.672  0.883
Zn  0.165  0.333  0.125
W  0.164  0.832  0.125

## Properties
The value obtained for the final energy is -2.147 eV per atom. For the energy above the most stable polymorph in this dataset, the calculation gives 10 meV per atom.


A plane-wave DFT calculation with PBE was carried out for AgN after structural relaxation.

a = 3.500 Å, b = 3.500 Å, c = 3.500 Å
α = 60.00°, β = 60.00°, γ = 60.00°
Positions (direct):
Ag  0.000  0.000  0.000
N  0.250  0.250  0.250

## Properties
The value obtained for the final energy is -3.855 eV per atom. For the energy above the most stable polymorph in this dataset, the calculation gives 130 meV per atom.


A plane-wave DFT calculation with PBE was carried out for FeBiS2Br after structural relaxation.

a = 6.442 Å, b = 6.442 Å, c = 8.880 Å
α = 87.84°, β = 87.84°, γ = 33.61°
Positions (direct):
Fe  0.000  0.000  0.000
Fe  0.000  0.000  0.500
Bi  0.283  0.283  0.787
Bi  0.717  0.717  0.213
S  0.616  0.616  0.956
S  0.384  0.384  0.044
S  0.061  0.061  0.249
S  0.939  0.939  0.751
Br  0.376  0.376  0.451
Br  0.624  0.624  0.549

## Properties
The value obtained for the final energy is -4.706 eV per atom.


A plane-wave DFT calculation with PBE was carried out for NdGa7Fe5 after structural relaxation.

a = 6.680 Å, b = 6.680 Å, c = 6.680 Å
α = 135.33°, β = 98.45°, γ = 98.15°
Positions (direct):
Nd  0.003  0.003  0.000
Ga  0.663  0.663  0.000
Ga  0.331  0.331  0.000
Ga  0.336  0.991  0.345
Ga  0.647  0.991  0.655
Ga  0.791  0.506  0.285
Ga  0.221  0.506  0.715
Ga  0.775  0.275  0.500
Fe  0.998  0.496  0.996
Fe  0.499  0.002  0.004
Fe  0.499  0.496  0.497
Fe  0.998  0.002  0.503
Fe  0.240  0.740  0.500

## Properties
The value obtained for the final energy is -5.533 eV per atom.


A plane-wave DFT calculation with PBE was carried out for GdBr3 after structural relaxation.

a = 7.368 Å, b = 7.368 Å, c = 7.470 Å
α = 81.22°, β = 81.22°, γ = 120.10°
Positions (direct):
Gd  0.166  0.834  0.000
Gd  0.834  0.166  0.000
Br  0.937  0.570  0.772
Br  0.430  0.063  0.228
Br  0.796  0.796  0.229
Br  0.204  0.204  0.771
Br  0.570  0.937  0.772
Br  0.063  0.430  0.228

## Properties
The value obtained for the final energy is -6.665 eV per atom.